No. 1
A geometry-optimized Lu4MgGe4 structure. Source: the Materials Project database, functional r²SCAN.

Lattice parameters (Å, degrees): 7.0200 14.2745 7.5384 90.00 90.00 90.00
Element x y z (fractional)
Lu 0.0075 0.0930 0.1815
Lu 0.0075 0.4070 0.1815
Lu 0.1661 0.1258 0.6764
Lu 0.1661 0.3742 0.6764
Lu 0.3339 0.6258 0.1764
Lu 0.3339 0.8742 0.1764
Lu 0.4925 0.5930 0.6815
Lu 0.4925 0.9070 0.6815
Lu 0.5075 0.0930 0.3185
Lu 0.5075 0.4070 0.3185
Lu 0.6661 0.1258 0.8236
Lu 0.6661 0.3742 0.8236
Lu 0.8339 0.6258 0.3236
Lu 0.8339 0.8742 0.3236
Lu 0.9925 0.5930 0.8185
Lu 0.9925 0.9070 0.8185
Mg 0.1637 0.7500 0.5167
Mg 0.3363 0.2500 0.0167
Mg 0.6637 0.7500 0.9833
Mg 0.8363 0.2500 0.4833
Ge 0.0282 0.7500 0.0935
Ge 0.1766 0.5361 0.4652
Ge 0.1766 0.9639 0.4652
Ge 0.2082 0.2500 0.3605
Ge 0.2918 0.7500 0.8605
Ge 0.3234 0.0361 0.9652
Ge 0.3234 0.4639 0.9652
Ge 0.4718 0.2500 0.5935
Ge 0.5282 0.7500 0.4065
Ge 0.6766 0.5361 0.0348
Ge 0.6766 0.9639 0.0348
Ge 0.7082 0.2500 0.1395
Ge 0.7918 0.7500 0.6395
Ge 0.8234 0.0361 0.5348
Ge 0.8234 0.4639 0.5348
Ge 0.9718 0.2500 0.9065

Values from the calculation:
Crystal system: orthorhombic
Density in Mg/m³: 8.92
E in eV for the cell shown: -878.7


No. 2
A geometry-optimized Sr3SbN structure. Source: the Materials Project database, functional r²SCAN.

Lattice parameters (Å, degrees): 5.1950 5.1950 5.1950 90.00 90.00 90.00
Element x y z (fractional)
Sr 0.0000 0.0000 0.5000
Sr 0.0000 0.5000 0.0000
Sr 0.5000 0.0000 0.0000
Sb 0.5000 0.5000 0.5000
N 0.0000 0.0000 0.0000

Values from the calculation:
Crystal system: cubic
Density in Mg/m³: 4.72
E in eV for the cell shown: -85.8


No. 3
A geometry-optimized CaZrO3 structure. Source: the Materials Project database, functional r²SCAN.

Lattice parameters (Å, degrees): 6.0181 6.0181 6.0181 55.30 55.30 55.30
Element x y z (fractional)
Ca 0.1387 0.1387 0.1387
Ca 0.8613 0.8613 0.8613
Zr 0.3511 0.3511 0.3511
Zr 0.6489 0.6489 0.6489
O 0.0558 0.4674 0.7074
O 0.2926 0.9442 0.5326
O 0.4674 0.7074 0.0558
O 0.5326 0.2926 0.9442
O 0.7074 0.0558 0.4674
O 0.9442 0.5326 0.2926

Values from the calculation:
Crystal system: trigonal
Density in Mg/m³: 4.34
E in eV for the cell shown: -131.4


Number 1: energy relative to the elements -856.6 meV/atom. Number 2: energy relative to the elements -1110.0 meV/atom. Number 3: energy relative to the elements -3601.3 meV/atom.